Compound: Li2MnOF3
Source: the Materials Project database
Functional: GGA+U
Structure: relaxed

Calculated values
**ΔE_f**: -2.7547 eV per atom
**Final energy**: -5.602 eV/atom

Cell and atoms, written as POSCAR:
```
Li2MnOF3
1.0
-0.120 0.001 5.023
5.766 0.000 0.141
0.000 10.274 0.002
Mn F Li O
4 12 8 4
Direct
0.977 0.999 0.005
0.523 0.501 0.506
0.977 0.499 0.006
0.523 0.001 0.506
0.730 0.999 0.321
0.298 0.251 0.427
0.238 0.499 0.186
0.203 0.249 0.926
0.770 0.501 0.821
0.203 0.749 0.926
0.238 0.999 0.186
0.262 0.501 0.686
0.298 0.751 0.427
0.730 0.499 0.321
0.770 0.000 0.821
0.262 0.001 0.686
0.509 0.751 0.772
0.991 0.749 0.272
0.996 0.751 0.708
0.509 0.251 0.772
0.996 0.251 0.708
0.503 0.749 0.208
0.503 0.249 0.208
0.991 0.249 0.272
0.705 0.751 0.582
0.796 0.749 0.082
0.705 0.251 0.582
0.796 0.249 0.082
```



Compound: Mn4O7F
Source: the Materials Project database
Functional: GGA+U
Structure: relaxed

Calculated values
**ΔE_f**: -1.8844 eV per atom
**SG**: P2_1
**Final energy**: -6.989 eV/atom

Cell and atoms, written as POSCAR:
```
Mn4O7F
1.0
4.477 0.000 0.000
0.000 10.988 0.000
-0.001 0.000 4.979
Mn O F
8 14 2
Direct
0.003 0.000 0.001
0.020 0.142 0.505
0.487 0.405 0.504
0.493 0.250 0.986
0.507 0.750 0.014
0.513 0.905 0.496
0.980 0.642 0.495
0.997 0.500 0.999
0.221 0.520 0.673
0.227 0.628 0.175
0.239 0.017 0.674
0.241 0.128 0.170
0.265 0.378 0.170
0.269 0.879 0.177
0.271 0.266 0.665
0.729 0.766 0.335
0.731 0.379 0.823
0.735 0.878 0.830
0.759 0.628 0.830
0.761 0.517 0.326
0.773 0.128 0.825
0.779 0.020 0.327
0.254 0.763 0.673
0.746 0.263 0.327
```



Compound: Li6V3CuP6O24
Source: the Materials Project database
Functional: GGA+U
Structure: relaxed

Calculated values
**ΔE_f**: -2.5670 eV per atom
**SG**: P1
**Final energy**: -6.878 eV/atom

Cell and atoms, written as POSCAR:
```
Li6V3CuP6O24
1.0
8.460 0.000 0.000
3.875 7.571 0.000
3.979 2.551 7.215
Li V Cu P O
6 3 1 6 24
Direct
0.000 0.000 0.000
0.084 0.936 0.500
0.188 0.459 0.350
0.354 0.779 0.138
0.558 0.642 0.804
0.820 0.299 0.646
0.481 0.937 0.282
0.699 0.150 0.506
0.983 0.436 0.792
0.194 0.643 0.983
0.092 0.247 0.194
0.292 0.040 0.683
0.399 0.541 0.594
0.594 0.332 0.107
0.788 0.843 0.904
0.882 0.754 0.404
0.036 0.279 0.034
0.070 0.740 0.247
0.100 0.197 0.713
0.151 0.407 0.166
0.228 0.485 0.640
0.251 0.052 0.214
0.282 0.874 0.872
0.312 0.986 0.525
0.390 0.594 0.744
0.394 0.713 0.408
0.438 0.523 0.095
0.457 0.098 0.638
0.522 0.173 0.147
0.588 0.388 0.558
0.594 0.862 0.060
0.671 0.279 0.258
0.710 0.808 0.346
0.746 0.351 0.911
0.781 0.029 0.737
0.827 0.678 0.849
0.857 0.901 0.475
0.893 0.557 0.559
0.940 0.819 0.972
0.945 0.212 0.390
```



Compound: Mn2PHO3F2
Source: the Materials Project database
Functional: GGA+U
Structure: relaxed

Calculated values
**ΔE_f**: -2.3835 eV per atom
**SG**: Pnma
**Final energy**: -6.770 eV/atom

Cell and atoms, written as POSCAR:
```
Mn2PHO3F2
1.0
7.671 0.000 0.000
0.000 10.324 0.000
0.000 0.000 5.693
Mn P H O F
8 4 4 12 8
Direct
0.098 0.060 0.250
0.098 0.440 0.250
0.402 0.560 0.750
0.402 0.940 0.750
0.598 0.060 0.250
0.598 0.440 0.250
0.902 0.560 0.750
0.902 0.940 0.750
0.163 0.750 0.072
0.337 0.250 0.572
0.663 0.750 0.428
0.837 0.250 0.928
0.234 0.750 0.298
0.266 0.250 0.798
0.734 0.750 0.202
0.766 0.250 0.702
0.051 0.626 0.051
0.051 0.874 0.051
0.184 0.250 0.394
0.316 0.750 0.894
0.449 0.126 0.551
0.449 0.374 0.551
0.551 0.626 0.449
0.551 0.874 0.449
0.684 0.250 0.106
0.816 0.750 0.606
0.949 0.126 0.949
0.949 0.374 0.949
0.154 0.543 0.573
0.154 0.957 0.573
0.346 0.043 0.073
0.346 0.457 0.073
0.654 0.543 0.927
0.654 0.957 0.927
0.846 0.043 0.427
0.846 0.457 0.427
```



ΔE_f of number 1 (Li2MnOF3)? -2.7547 eV per atom



Which formula does entry 3 have? Li6V3CuP6O24



Number 4 is which compound? Mn2PHO3F2